Entry 1:
This record from Materials Project describes an optimized crystal structure of Si. The functional is PBE-GGA.

Calculated values
V (A^3/atom): 23.26
Energy above the lowest structure with this stoichiometry (meV per atom): 64

The structure in POSCAR format:
```
Si
1.0
10.2274 0.0000 0.0000
0.0000 10.2274 0.0000
0.0000 0.0000 10.2274
Si
46
Direct
0.0000 0.1172 0.3079
0.0000 0.1172 0.6921
0.0000 0.2500 0.5000
0.0000 0.7500 0.5000
0.0000 0.8828 0.3079
0.0000 0.8828 0.6921
0.1172 0.3079 0.0000
0.1172 0.6921 0.0000
0.1836 0.1836 0.1836
0.1836 0.1836 0.8164
0.1836 0.8164 0.1836
0.1836 0.8164 0.8164
0.1921 0.3828 0.5000
0.1921 0.6172 0.5000
0.2500 0.5000 0.0000
0.3079 0.0000 0.1172
0.3079 0.0000 0.8828
0.3164 0.3164 0.3164
0.3164 0.3164 0.6836
0.3164 0.6836 0.3164
0.3164 0.6836 0.6836
0.3828 0.5000 0.1921
0.3828 0.5000 0.8079
0.5000 0.0000 0.2500
0.5000 0.0000 0.7500
0.5000 0.1921 0.3828
0.5000 0.1921 0.6172
0.5000 0.8079 0.3828
0.5000 0.8079 0.6172
0.6172 0.5000 0.1921
0.6172 0.5000 0.8079
0.6836 0.3164 0.3164
0.6836 0.3164 0.6836
0.6836 0.6836 0.3164
0.6836 0.6836 0.6836
0.6921 0.0000 0.1172
0.6921 0.0000 0.8828
0.7500 0.5000 0.0000
0.8079 0.3828 0.5000
0.8079 0.6172 0.5000
0.8164 0.1836 0.1836
0.8164 0.1836 0.8164
0.8164 0.8164 0.1836
0.8164 0.8164 0.8164
0.8828 0.3079 0.0000
0.8828 0.6921 0.0000
```

Entry 2:
This record from Materials Project describes an optimized crystal structure of SrNbO3. The functional is PBE-GGA.

Calculated values
V (A^3/atom): 13.67

The structure in POSCAR format:
```
SrNbO3
1.0
4.0891 0.0000 0.0000
0.0000 4.0891 0.0000
0.0000 0.0000 4.0891
Sr Nb O
1 1 3
Direct
0.0000 0.0000 0.0000
0.5000 0.5000 0.5000
0.0000 0.5000 0.5000
0.5000 0.0000 0.5000
0.5000 0.5000 0.0000
```

Entry 3:
This record from Materials Project describes an optimized crystal structure of V3Ni. The functional is PBE-GGA.

Calculated values
V (A^3/atom): 12.73

The structure in POSCAR format:
```
V3Ni
1.0
4.6697 0.0000 0.0000
0.0000 4.6697 0.0000
0.0000 0.0000 4.6697
V Ni
6 2
Direct
0.0000 0.2500 0.5000
0.0000 0.7500 0.5000
0.2500 0.5000 0.0000
0.5000 0.0000 0.2500
0.5000 0.0000 0.7500
0.7500 0.5000 0.0000
0.0000 0.0000 0.0000
0.5000 0.5000 0.5000
```

Entry 4:
This record from Materials Project describes an optimized crystal structure of Y2C3. The functional is PBE-GGA.

Calculated values
V (A^3/atom): 14.11

The structure in POSCAR format:
```
Y2C3
1.0
-4.1322 4.1322 4.1322
4.1322 -4.1322 4.1322
4.1322 4.1322 -4.1322
Y C
8 12
Direct
0.0000 0.1013 0.5000
0.0000 0.6013 0.5000
0.1013 0.5000 0.0000
0.3987 0.3987 0.3987
0.5000 0.0000 0.1013
0.5000 0.0000 0.6013
0.6013 0.5000 0.0000
0.8987 0.8987 0.8987
0.0441 0.7941 0.2500
0.2059 0.9559 0.2500
0.2500 0.0441 0.7941
0.2500 0.2059 0.9559
0.2941 0.5441 0.7500
0.4559 0.7059 0.7500
0.5441 0.7500 0.2941
0.7059 0.7500 0.4559
0.7500 0.2941 0.5441
0.7500 0.4559 0.7059
0.7941 0.2500 0.0441
0.9559 0.2500 0.2059
```

Entry 5:
This record from Materials Project describes an optimized crystal structure of HoLuRh2. The functional is PBE-GGA.

Calculated values
V (A^3/atom): 19.48

The structure in POSCAR format:
```
HoLuRh2
1.0
6.7806 0.0000 0.0000
0.0000 6.7806 0.0000
0.0000 0.0000 6.7806
Ho Lu Rh
4 4 8
Direct
0.0000 0.0000 0.0000
0.0000 0.5000 0.5000
0.5000 0.0000 0.5000
0.5000 0.5000 0.0000
0.0000 0.0000 0.5000
0.0000 0.5000 0.0000
0.5000 0.0000 0.0000
0.5000 0.5000 0.5000
0.2500 0.2500 0.2500
0.2500 0.2500 0.7500
0.2500 0.7500 0.2500
0.2500 0.7500 0.7500
0.7500 0.2500 0.2500
0.7500 0.2500 0.7500
0.7500 0.7500 0.2500
0.7500 0.7500 0.7500
```

Entry 6:
This record from Materials Project describes an optimized crystal structure of CsLaMg14. The functional is PBE-GGA.

Calculated values
V (A^3/atom): 26.31

The structure in POSCAR format:
```
CsLaMg14
1.0
10.8515 0.0000 0.0000
0.0000 3.3355 5.8160
0.0000 -3.3355 5.8160
Cs La Mg
1 1 14
Direct
0.0000 0.0000 0.0000
0.0000 0.4934 0.4934
0.0000 0.5025 0.9967
0.0000 0.9967 0.5025
0.2537 0.6699 0.6699
0.2633 0.1759 0.1759
0.2727 0.1711 0.6564
0.2727 0.6564 0.1711
0.5000 0.0024 0.0024
0.5000 0.5010 0.9986
0.5000 0.5040 0.5040
0.5000 0.9986 0.5010
0.7273 0.1711 0.6564
0.7273 0.6564 0.1711
0.7367 0.1759 0.1759
0.7463 0.6699 0.6699
```

Entry 7:
This record from Materials Project describes an optimized crystal structure of KS3. The functional is PBE-GGA.

Calculated values
V (A^3/atom): 29.56

The structure in POSCAR format:
```
KS3
1.0
6.5934 0.0000 0.0000
0.0000 12.1145 0.0000
-3.6872 0.0000 11.8429
K S
8 24
Direct
0.1932 0.1108 0.4105
0.1932 0.3892 0.9105
0.2876 0.6388 0.4773
0.2876 0.8612 0.9773
0.7124 0.1388 0.0227
0.7124 0.3612 0.5227
0.8068 0.6108 0.0895
0.8068 0.8892 0.5895
0.0275 0.0822 0.8384
0.0275 0.4178 0.3384
0.1159 0.1706 0.7192
0.1159 0.3294 0.2192
0.1982 0.1281 0.9996
0.1982 0.3719 0.4996
0.2864 0.6103 0.0640
0.2864 0.8897 0.5640
0.4301 0.5537 0.2249
0.4301 0.9463 0.7249
0.4365 0.1143 0.7280
0.4365 0.3857 0.2280
0.5635 0.6143 0.7720
0.5635 0.8857 0.2720
0.5699 0.0537 0.2751
0.5699 0.4463 0.7751
0.7136 0.1103 0.4360
0.7136 0.3897 0.9360
0.8018 0.6281 0.5004
0.8018 0.8719 0.0004
0.8841 0.6706 0.7808
0.8841 0.8294 0.2808
0.9725 0.5822 0.6616
0.9725 0.9178 0.1616
```

Entry 8:
This record from Materials Project describes an optimized crystal structure of LaMgWS4. The functional is PBE-GGA.

Calculated values
V (A^3/atom): 23.07

The structure in POSCAR format:
```
LaMgWS4
1.0
-3.5826 4.0508 5.5638
3.5826 -4.0508 5.5638
3.5826 4.0508 -5.5638
La Mg W S
2 2 2 8
Direct
0.2465 0.0000 0.2465
0.7535 0.0000 0.7535
0.1438 0.6438 0.5000
0.3939 0.3939 0.0000
0.7543 0.0599 0.3056
0.7543 0.4487 0.6944
0.0073 0.2608 0.7465
0.5143 0.2608 0.2535
0.5353 0.2874 0.7521
0.5353 0.7832 0.2479
0.5377 0.7459 0.7918
0.9541 0.7459 0.2082
0.9748 0.2510 0.2762
0.9748 0.6985 0.7238
```

Entry 9:
This record from Materials Project describes an optimized crystal structure of Ca7VN6. The functional is PBE-GGA.

Calculated values
V (A^3/atom): 16.26

The structure in POSCAR format:
```
Ca7VN6
1.0
11.1351 0.0000 0.0000
0.0000 6.3276 0.0000
0.0000 0.0000 12.9272
Ca V N
28 4 24
Direct
0.0000 0.0487 0.2500
0.0000 0.9513 0.7500
0.0358 0.2291 0.5193
0.0358 0.7709 0.0193
0.2133 0.3901 0.1196
0.2133 0.6099 0.6196
0.2315 0.3413 0.8715
0.2315 0.6587 0.3715
0.2685 0.1587 0.3715
0.2685 0.8413 0.8715
0.2867 0.1099 0.6196
0.2867 0.8901 0.1196
0.4642 0.2709 0.0193
0.4642 0.7291 0.5193
0.5000 0.4513 0.7500
0.5000 0.5487 0.2500
0.5358 0.2709 0.4807
0.5358 0.7291 0.9807
0.7133 0.1099 0.8804
0.7133 0.8901 0.3804
0.7315 0.1587 0.1285
0.7315 0.8413 0.6285
0.7685 0.3413 0.6285
0.7685 0.6587 0.1285
0.7867 0.3901 0.3804
0.7867 0.6099 0.8804
0.9642 0.2291 0.9807
0.9642 0.7709 0.4807
0.0000 0.4501 0.7500
0.0000 0.5499 0.2500
0.5000 0.0499 0.2500
0.5000 0.9501 0.7500
0.0640 0.3816 0.3517
0.0640 0.6184 0.8517
0.1216 0.2772 0.7003
0.1216 0.7228 0.2003
0.1630 0.0878 0.9956
0.1630 0.9122 0.4956
0.3370 0.4122 0.4956
0.3370 0.5878 0.9956
0.3784 0.2228 0.2003
0.3784 0.7772 0.7003
0.4360 0.1184 0.8517
0.4360 0.8816 0.3517
0.5640 0.1184 0.6483
0.5640 0.8816 0.1483
0.6216 0.2228 0.2997
0.6216 0.7772 0.7997
0.6630 0.4122 0.0044
0.6630 0.5878 0.5044
0.8370 0.0878 0.5044
0.8370 0.9122 0.0044
0.8784 0.2772 0.7997
0.8784 0.7228 0.2997
0.9360 0.3816 0.1483
0.9360 0.6184 0.6483
```

Entry 10:
This record from Materials Project describes an optimized crystal structure of RuC8N6. The functional is PBE-GGA.

Calculated values
V (A^3/atom): 13.07
Energy above the lowest structure with this stoichiometry (meV per atom): 0

The structure in POSCAR format:
```
RuC8N6
1.0
7.2637 0.0000 0.0000
0.0000 5.1903 0.0000
0.0000 0.0000 10.4015
Ru C N
2 16 12
Direct
0.0000 0.0000 0.0000
0.5000 0.0000 0.5000
0.0000 0.3809 0.2422
0.0000 0.4273 0.6622
0.0000 0.5727 0.3378
0.0000 0.6191 0.7578
0.1633 0.3143 0.6173
0.1633 0.6857 0.3827
0.3367 0.3143 0.8827
0.3367 0.6857 0.1173
0.5000 0.3809 0.2578
0.5000 0.4273 0.8378
0.5000 0.5727 0.1622
0.5000 0.6191 0.7422
0.6633 0.3143 0.8827
0.6633 0.6857 0.1173
0.8367 0.3143 0.6173
0.8367 0.6857 0.3827
0.0000 0.2275 0.1594
0.0000 0.7725 0.8406
0.2062 0.2108 0.9239
0.2062 0.7892 0.0761
0.2938 0.2108 0.5761
0.2938 0.7892 0.4239
0.5000 0.2275 0.3406
0.5000 0.7725 0.6594
0.7062 0.2108 0.5761
0.7062 0.7892 0.4239
0.7938 0.2108 0.9239
0.7938 0.7892 0.0761
```

Entry 11:
This record from Materials Project describes an optimized crystal structure of ZrMn2. The functional is PBE-GGA.

Calculated values
V (A^3/atom): 14.48

The structure in POSCAR format:
```
ZrMn2
1.0
4.9319 0.0000 0.0000
-2.4660 4.2712 0.0000
0.0000 0.0000 8.2514
Zr Mn
4 8
Direct
0.3333 0.6667 0.0642
0.3333 0.6667 0.4358
0.6667 0.3333 0.5642
0.6667 0.3333 0.9358
0.0000 0.0000 0.0000
0.0000 0.0000 0.5000
0.1695 0.3390 0.7500
0.1695 0.8305 0.7500
0.3390 0.1695 0.2500
0.6610 0.8305 0.7500
0.8305 0.1695 0.2500
0.8305 0.6610 0.2500
```

Entry 12:
This record from Materials Project describes an optimized crystal structure of CeCo2. The functional is PBE-GGA.

Calculated values
V (A^3/atom): 14.72

The structure in POSCAR format:
```
CeCo2
1.0
0.0000 3.5346 3.5346
3.5346 0.0000 3.5346
3.5346 3.5346 0.0000
Ce Co
2 4
Direct
0.1250 0.1250 0.1250
0.8750 0.8750 0.8750
0.0000 0.5000 0.5000
0.5000 0.0000 0.5000
0.5000 0.5000 0.0000
0.5000 0.5000 0.5000
```

Number 1: formation enthalpy at 0 K 0.064 eV/atom, E -5.36 eV/atom. Number 2: formation enthalpy at 0 K -3.175 eV/atom, E -8.09 eV/atom. Number 3: formation enthalpy at 0 K -0.156 eV/atom, E -8.41 eV/atom. Number 4: formation enthalpy at 0 K -0.256 eV/atom, E -8.38 eV/atom. Number 5: formation enthalpy at 0 K -0.960 eV/atom, E -6.92 eV/atom. Number 6: formation enthalpy at 0 K 0.154 eV/atom, E -1.61 eV/atom. Number 7: formation enthalpy at 0 K -0.896 eV/atom, E -3.90 eV/atom. Number 8: formation enthalpy at 0 K -1.412 eV/atom, E -6.27 eV/atom. Number 9: formation enthalpy at 0 K -1.086 eV/atom, E -6.16 eV/atom. Number 10: formation enthalpy at 0 K 0.267 eV/atom, E -8.46 eV/atom. Number 11: formation enthalpy at 0 K -0.185 eV/atom, E -9.14 eV/atom. Number 12: formation enthalpy at 0 K -0.252 eV/atom, E -6.97 eV/atom.